Run i
NaYSi2O6: relaxed, PBE-GGA.

Structure (POSCAR):
```
NaYSi2O6
1.0
-0.440 13.812 1.047
-5.477 -0.183 0.107
-2.468 -0.629 7.260
Si Y O Na
8 4 24 4
direct
0.138 0.418 0.933 Si
0.862 0.582 0.067 Si
0.140 0.429 0.356 Si
0.638 0.582 0.567 Si
0.860 0.571 0.644 Si
0.640 0.571 0.144 Si
0.362 0.418 0.433 Si
0.360 0.429 0.856 Si
0.994 0.983 0.752 Y
0.006 0.017 0.248 Y
0.506 0.983 0.252 Y
0.494 0.017 0.748 Y
0.249 0.316 0.920 O
0.937 0.800 0.082 O
0.378 0.381 0.655 O
0.934 0.788 0.516 O
0.749 0.684 0.580 O
0.751 0.684 0.080 O
0.878 0.619 0.845 O
0.437 0.200 0.418 O
0.251 0.316 0.420 O
0.122 0.381 0.155 O
0.625 0.284 0.696 O
0.125 0.716 0.804 O
0.066 0.212 0.484 O
0.375 0.716 0.304 O
0.434 0.212 0.984 O
0.634 0.267 0.171 O
0.875 0.284 0.196 O
0.566 0.788 0.016 O
0.134 0.733 0.329 O
0.866 0.267 0.671 O
0.622 0.619 0.345 O
0.563 0.800 0.582 O
0.366 0.733 0.829 O
0.063 0.200 0.918 O
0.731 0.137 0.954 Na
0.231 0.863 0.546 Na
0.269 0.863 0.046 Na
0.769 0.137 0.454 Na
```

Calculated values
SG   P2_1/c, No. 14
Crystal system   monoclinic

***

Run ii
NaYSi2O6: relaxed, PBE-GGA.

Structure (POSCAR):
```
NaYSi2O6
1.0
-5.690 3.532 0.307
-1.036 -4.192 -5.129
-9.480 -12.102 9.081
Y O Na Si
6 36 6 12
direct
0.639 0.735 0.427 Y
0.361 0.265 0.573 Y
0.608 0.392 0.750 Y
0.735 0.639 0.927 Y
0.265 0.361 0.073 Y
0.392 0.608 0.250 Y
0.276 0.041 0.049 O
0.709 0.718 0.802 O
0.470 0.275 0.315 O
0.681 0.329 0.622 O
0.675 0.992 0.557 O
0.852 0.029 0.681 O
0.628 0.435 0.048 O
0.085 0.725 0.884 O
0.329 0.681 0.122 O
0.959 0.724 0.451 O
0.282 0.291 0.698 O
0.033 0.510 0.277 O
0.967 0.490 0.723 O
0.992 0.675 0.057 O
0.510 0.033 0.777 O
0.029 0.852 0.181 O
0.724 0.959 0.951 O
0.565 0.372 0.452 O
0.041 0.276 0.549 O
0.008 0.325 0.943 O
0.725 0.530 0.185 O
0.275 0.915 0.616 O
0.971 0.148 0.819 O
0.435 0.628 0.548 O
0.325 0.008 0.443 O
0.718 0.709 0.302 O
0.530 0.725 0.685 O
0.372 0.565 0.952 O
0.725 0.085 0.384 O
0.275 0.470 0.815 O
0.490 0.967 0.223 O
0.291 0.282 0.198 O
0.148 0.971 0.319 O
0.671 0.319 0.878 O
0.915 0.275 0.116 O
0.319 0.671 0.378 O
0.876 0.124 0.250 Na
0.124 0.876 0.750 Na
0.362 0.995 0.917 Na
0.005 0.638 0.583 Na
0.638 0.005 0.083 Na
0.995 0.362 0.417 Na
0.534 0.191 0.398 Si
0.354 0.114 0.257 Si
0.821 0.167 0.601 Si
0.114 0.354 0.757 Si
0.167 0.821 0.101 Si
0.191 0.534 0.898 Si
0.179 0.833 0.399 Si
0.833 0.179 0.899 Si
0.886 0.646 0.243 Si
0.646 0.886 0.743 Si
0.466 0.809 0.602 Si
0.809 0.466 0.102 Si
```

Calculated values
SG   C2/c, No. 15
Crystal system   monoclinic

***

It is run i that is the most stable of them.

***

Run i
Na2ZrSi3O11: relaxed, PBE-GGA.

Structure (POSCAR):
```
Na2ZrSi3O11
1.0
6.433 3.731 0.000
-6.433 3.731 0.000
0.000 0.031 10.415
Si O Zr Na
6 22 2 4
direct
0.606 0.803 0.749 Si
0.804 0.196 0.250 Si
0.803 0.606 0.249 Si
0.394 0.197 0.251 Si
0.196 0.804 0.750 Si
0.197 0.394 0.751 Si
0.864 0.133 0.384 O
0.452 0.548 0.750 O
0.738 0.871 0.880 O
0.871 0.738 0.380 O
0.269 0.131 0.387 O
0.500 0.500 0.500 O
0.129 0.262 0.620 O
0.548 0.094 0.257 O
0.452 0.906 0.743 O
0.867 0.136 0.116 O
0.500 0.500 0.000 O
0.906 0.452 0.243 O
0.136 0.867 0.616 O
0.094 0.548 0.757 O
0.262 0.129 0.120 O
0.731 0.869 0.613 O
0.869 0.731 0.113 O
0.000 0.500 0.500 O
0.131 0.269 0.887 O
0.133 0.864 0.884 O
0.500 0.000 0.000 O
0.548 0.452 0.250 O
0.000 0.000 0.000 Zr
0.000 0.000 0.500 Zr
0.362 0.723 0.475 Na
0.638 0.277 0.525 Na
0.277 0.638 0.025 Na
0.723 0.362 0.975 Na
```

Calculated values
SG   C2/c, No. 15
Crystal system   monoclinic

***

Run ii
Na2ZrSi3O11: relaxed, PBE-GGA.

Structure (POSCAR):
```
Na2ZrSi3O11
1.0
0.000 0.000 6.712
11.873 0.000 0.000
0.000 12.921 0.000
O Si Na Zr
44 12 8 4
direct
0.896 0.244 0.732 O
0.137 0.210 0.893 O
0.700 0.767 0.287 O
0.620 0.455 0.802 O
0.577 0.917 0.687 O
0.974 0.040 0.368 O
0.654 0.283 0.576 O
0.154 0.783 0.924 O
0.651 0.922 0.482 O
0.849 0.922 0.982 O
0.880 0.455 0.302 O
0.089 0.075 0.068 O
0.194 0.576 0.392 O
0.026 0.540 0.632 O
0.846 0.283 0.076 O
0.363 0.210 0.393 O
0.300 0.267 0.713 O
0.346 0.783 0.424 O
0.423 0.417 0.313 O
0.077 0.417 0.813 O
0.396 0.744 0.768 O
0.104 0.744 0.268 O
0.694 0.076 0.108 O
0.923 0.917 0.187 O
0.349 0.422 0.518 O
0.637 0.710 0.607 O
0.151 0.422 0.018 O
0.800 0.767 0.787 O
0.463 0.237 0.034 O
0.806 0.076 0.608 O
0.863 0.710 0.107 O
0.474 0.540 0.132 O
0.037 0.237 0.534 O
0.411 0.075 0.568 O
0.306 0.576 0.892 O
0.589 0.575 0.432 O
0.200 0.267 0.213 O
0.120 0.955 0.698 O
0.380 0.955 0.198 O
0.604 0.244 0.232 O
0.911 0.575 0.932 O
0.963 0.737 0.466 O
0.526 0.040 0.868 O
0.537 0.737 0.966 O
0.350 0.712 0.891 Si
0.109 0.498 0.916 Si
0.850 0.212 0.609 Si
0.108 0.282 0.788 Si
0.608 0.782 0.712 Si
0.150 0.712 0.391 Si
0.392 0.282 0.288 Si
0.891 0.998 0.084 Si
0.609 0.998 0.584 Si
0.391 0.498 0.416 Si
0.892 0.782 0.212 Si
0.650 0.212 0.109 Si
0.164 0.996 0.891 Na
0.569 0.247 0.844 Na
0.836 0.496 0.109 Na
0.431 0.747 0.156 Na
0.336 0.996 0.391 Na
0.069 0.747 0.656 Na
0.664 0.496 0.609 Na
0.931 0.247 0.344 Na
0.152 0.249 0.053 Zr
0.348 0.249 0.553 Zr
0.848 0.749 0.947 Zr
0.652 0.749 0.447 Zr
```

Calculated values
SG   Pna2_1, No. 33
Crystal system   orthorhombic

***

It is run ii that is the most stable of them.

***

Run i
Na6Sn2O7: relaxed, PBE-GGA.

Structure (POSCAR):
```
Na6Sn2O7
1.0
4.453 4.414 0.000
-4.453 4.414 0.000
0.000 3.655 11.776
O Na Sn
14 12 4
direct
0.787 0.517 0.816 O
0.235 0.694 0.900 O
0.262 0.156 0.011 O
0.738 0.844 0.989 O
0.306 0.765 0.600 O
0.694 0.235 0.400 O
0.765 0.306 0.100 O
0.156 0.262 0.511 O
0.213 0.483 0.184 O
0.973 0.027 0.750 O
0.844 0.738 0.489 O
0.517 0.787 0.316 O
0.483 0.213 0.684 O
0.027 0.973 0.250 O
0.474 0.014 0.871 Na
0.206 0.920 0.412 Na
0.500 0.500 0.500 Na
0.014 0.474 0.371 Na
0.526 0.986 0.129 Na
0.455 0.545 0.750 Na
0.545 0.455 0.250 Na
0.986 0.526 0.629 Na
0.500 0.500 0.000 Na
0.794 0.080 0.588 Na
0.080 0.794 0.088 Na
0.920 0.206 0.912 Na
0.060 0.261 0.132 Sn
0.739 0.940 0.368 Sn
0.261 0.060 0.632 Sn
0.940 0.739 0.868 Sn
```

Calculated values
SG   C2/c, No. 15
Crystal system   monoclinic

***

Run ii
Na6Sn2O7: relaxed, PBE-GGA.

Structure (POSCAR):
```
Na6Sn2O7
1.0
6.243 0.000 0.000
0.000 9.352 0.000
0.000 8.194 16.564
O Sn Na
28 8 24
direct
0.775 0.271 0.015 O
0.786 0.375 0.321 O
0.326 0.014 0.076 O
0.727 0.131 0.736 O
0.733 0.654 0.381 O
0.363 0.158 0.341 O
0.767 0.654 0.881 O
0.863 0.842 0.159 O
0.286 0.625 0.179 O
0.225 0.729 0.985 O
0.273 0.869 0.264 O
0.838 0.559 0.588 O
0.137 0.158 0.841 O
0.162 0.441 0.412 O
0.275 0.729 0.485 O
0.267 0.346 0.619 O
0.674 0.986 0.924 O
0.227 0.869 0.764 O
0.725 0.271 0.515 O
0.338 0.441 0.912 O
0.233 0.346 0.119 O
0.637 0.842 0.659 O
0.714 0.375 0.821 O
0.174 0.014 0.576 O
0.826 0.986 0.424 O
0.662 0.559 0.088 O
0.773 0.131 0.236 O
0.214 0.625 0.679 O
0.652 0.437 0.914 Sn
0.824 0.158 0.831 Sn
0.848 0.437 0.414 Sn
0.152 0.563 0.586 Sn
0.176 0.842 0.169 Sn
0.324 0.842 0.669 Sn
0.348 0.563 0.086 Sn
0.676 0.158 0.331 Sn
0.515 0.178 0.124 Na
0.721 0.597 0.199 Na
0.015 0.822 0.376 Na
0.485 0.822 0.876 Na
0.370 0.650 0.384 Na
0.853 0.742 0.986 Na
0.130 0.650 0.884 Na
0.334 0.127 0.743 Na
0.147 0.258 0.014 Na
0.198 0.992 0.458 Na
0.647 0.742 0.486 Na
0.630 0.350 0.616 Na
0.870 0.350 0.116 Na
0.666 0.873 0.257 Na
0.302 0.992 0.958 Na
0.834 0.873 0.757 Na
0.279 0.403 0.801 Na
0.779 0.597 0.699 Na
0.166 0.127 0.243 Na
0.802 0.008 0.542 Na
0.353 0.258 0.514 Na
0.985 0.178 0.624 Na
0.221 0.403 0.301 Na
0.698 0.008 0.042 Na
```

Calculated values
SG   P2_1/c, No. 14
Crystal system   monoclinic

***

It is run ii that is the most stable of them.

***

Run i
Na8SnO6: relaxed, PBE-GGA.

Structure (POSCAR):
```
Na8SnO6
1.0
5.982 -3.176 0.000
5.982 3.176 0.000
4.296 0.000 5.236
Na Sn O
8 1 6
direct
0.502 0.246 0.907 Na
0.907 0.502 0.246 Na
0.754 0.093 0.498 Na
0.246 0.907 0.502 Na
0.341 0.341 0.341 Na
0.659 0.659 0.659 Na
0.498 0.754 0.093 Na
0.093 0.498 0.754 Na
0.000 0.000 0.000 Sn
0.221 0.648 0.913 O
0.087 0.779 0.352 O
0.913 0.221 0.648 O
0.779 0.352 0.087 O
0.352 0.087 0.779 O
0.648 0.913 0.221 O
```

Calculated values
SG   R-3, No. 148
Crystal system   trigonal

***

Run ii
Na8SnO6: relaxed, PBE-GGA.

Structure (POSCAR):
```
Na8SnO6
1.0
-1.480 4.999 -3.864
-4.386 -4.652 1.110
-4.386 6.560 10.167
Sn O Na
2 12 16
direct
0.000 0.000 0.996 Sn
0.000 0.000 0.496 Sn
0.667 0.333 0.220 O
0.333 0.667 0.220 O
0.000 0.000 0.654 O
0.707 0.707 0.451 O
0.000 0.000 0.154 O
0.293 0.000 0.451 O
0.707 0.000 0.951 O
0.000 0.707 0.951 O
0.293 0.293 0.951 O
0.667 0.333 0.720 O
0.333 0.667 0.720 O
0.000 0.293 0.451 O
0.398 0.398 0.125 Na
0.698 0.000 0.769 Na
0.602 0.000 0.125 Na
0.000 0.302 0.269 Na
0.000 0.698 0.769 Na
0.302 0.000 0.269 Na
0.398 0.000 0.625 Na
0.667 0.333 0.410 Na
0.333 0.667 0.910 Na
0.333 0.667 0.410 Na
0.302 0.302 0.769 Na
0.602 0.602 0.625 Na
0.667 0.333 0.910 Na
0.000 0.602 0.125 Na
0.698 0.698 0.269 Na
0.000 0.398 0.625 Na
```

Calculated values
SG   P6_3cm, No. 185
Crystal system   hexagonal
Maximum piezoelectric response   0.20 C/m2

***

It is run ii that is the most stable of them.